Entry 1:
Computed, not measured: a relaxed structure of Ce7Rh3 at the GGA-PBE level of DFT.

Cell and atoms, written as POSCAR:
```
Ce7Rh3
1.0
9.814 0.000 0.000
-4.907 8.499 0.000
0.000 0.000 6.137
Ce Rh
14 6
Direct
0.077 0.539 0.000
0.128 0.257 0.712
0.128 0.872 0.712
0.257 0.128 0.212
0.333 0.667 0.516
0.461 0.539 0.000
0.461 0.923 0.000
0.539 0.077 0.500
0.539 0.461 0.500
0.667 0.333 0.016
0.743 0.872 0.712
0.872 0.128 0.212
0.872 0.743 0.212
0.923 0.461 0.500
0.186 0.372 0.256
0.186 0.814 0.256
0.372 0.186 0.756
0.628 0.814 0.256
0.814 0.186 0.756
0.814 0.628 0.756
```

Results
SG ... P6_3mc (186)
Formation energy from the elements ... -10.462 kcal/mol of atoms
E ... -136.32 eV/cell


Entry 2:
Computed, not measured: a relaxed structure of Ce3Rh2 at the GGA-PBE level of DFT.

Cell and atoms, written as POSCAR:
```
Ce3Rh2
1.0
4.364 2.519 5.495
-4.364 2.519 5.495
0.000 -5.039 5.495
Ce Rh
9 6
Direct
0.000 0.000 0.000
0.166 0.390 0.663
0.205 0.205 0.205
0.337 0.834 0.610
0.390 0.663 0.166
0.610 0.337 0.834
0.663 0.166 0.390
0.795 0.795 0.795
0.834 0.610 0.337
0.046 0.834 0.409
0.166 0.591 0.954
0.409 0.046 0.834
0.591 0.954 0.166
0.834 0.409 0.046
0.954 0.166 0.591
```

Results
SG ... R-3 (148)
Formation energy from the elements ... -13.501 kcal/mol of atoms
E ... -106.37 eV/cell


Entry 3:
Computed, not measured: a relaxed structure of CeSbRh at the GGA-PBE level of DFT.

Cell and atoms, written as POSCAR:
```
CeSbRh
1.0
5.439 -2.209 0.000
5.439 2.209 0.000
-4.606 0.000 5.579
Ce Sb Rh
2 2 2
Direct
0.063 0.063 0.332
0.937 0.937 0.668
0.333 0.333 0.916
0.667 0.667 0.084
0.335 0.335 0.306
0.665 0.665 0.694
```

Results
SG ... C2/m (12)
Formation energy from the elements ... -18.979 kcal/mol of atoms
E ... -39.79 eV/cell


Entry 4:
Computed, not measured: a relaxed structure of Ce2Sb4Rh3 at the GGA-PBE level of DFT.

Cell and atoms, written as POSCAR:
```
Ce2Sb4Rh3
1.0
16.253 0.000 0.000
0.000 4.579 0.000
0.000 0.000 10.937
Ce Sb Rh
8 16 12
Direct
0.003 0.250 0.246
0.250 0.250 0.084
0.250 0.750 0.584
0.497 0.750 0.746
0.503 0.250 0.254
0.750 0.250 0.416
0.750 0.750 0.916
0.997 0.750 0.754
0.068 0.750 0.445
0.104 0.750 0.063
0.151 0.250 0.771
0.210 0.250 0.383
0.290 0.750 0.883
0.349 0.750 0.271
0.396 0.250 0.563
0.432 0.250 0.945
0.568 0.750 0.055
0.604 0.750 0.437
0.651 0.250 0.729
0.710 0.250 0.117
0.790 0.750 0.617
0.849 0.750 0.229
0.896 0.250 0.937
0.932 0.250 0.555
0.057 0.250 0.965
0.093 0.250 0.553
0.183 0.750 0.274
0.317 0.250 0.774
0.407 0.750 0.053
0.443 0.750 0.465
0.557 0.250 0.535
0.593 0.250 0.947
0.683 0.750 0.226
0.817 0.250 0.726
0.907 0.750 0.447
0.943 0.750 0.035
```

Results
SG ... Pnma (62)
Formation energy from the elements ... -18.950 kcal/mol of atoms
E ... -231.48 eV/cell


Entry 5:
Computed, not measured: a relaxed structure of CeSbRh at the GGA-PBE level of DFT.

Cell and atoms, written as POSCAR:
```
CeSbRh
1.0
7.342 0.000 0.000
0.000 4.658 0.000
0.000 0.000 7.837
Ce Sb Rh
4 4 4
Direct
0.014 0.250 0.198
0.486 0.750 0.698
0.514 0.250 0.302
0.986 0.750 0.802
0.186 0.250 0.591
0.314 0.750 0.091
0.686 0.250 0.909
0.814 0.750 0.409
0.214 0.750 0.423
0.286 0.250 0.923
0.714 0.750 0.077
0.786 0.250 0.577
```

Results
SG ... Pnma (62)
Formation energy from the elements ... -22.663 kcal/mol of atoms
E ... -81.50 eV/cell


Entry 6:
Computed, not measured: a relaxed structure of Ce3Si2Rh3 at the GGA-PBE level of DFT.

Cell and atoms, written as POSCAR:
```
Ce3Si2Rh3
1.0
7.727 0.000 0.000
0.000 14.880 0.000
0.000 0.000 5.656
Ce Si Rh
12 8 12
Direct
0.027 0.108 0.144
0.027 0.392 0.144
0.163 0.250 0.618
0.337 0.750 0.118
0.473 0.608 0.644
0.473 0.892 0.644
0.527 0.108 0.356
0.527 0.392 0.356
0.663 0.250 0.882
0.837 0.750 0.382
0.973 0.608 0.856
0.973 0.892 0.856
0.126 0.601 0.356
0.126 0.899 0.356
0.374 0.101 0.856
0.374 0.399 0.856
0.626 0.601 0.144
0.626 0.899 0.144
0.874 0.101 0.644
0.874 0.399 0.644
0.163 0.036 0.595
0.163 0.464 0.595
0.189 0.750 0.581
0.311 0.250 0.081
0.337 0.536 0.095
0.337 0.964 0.095
0.663 0.036 0.905
0.663 0.464 0.905
0.689 0.750 0.919
0.811 0.250 0.419
0.837 0.536 0.405
0.837 0.964 0.405
```

Results
SG ... Pnma (62)
Formation energy from the elements ... -20.909 kcal/mol of atoms
E ... -231.99 eV/cell